[1]
Entry from Materials Project: MgNb3SiO10 after structural relaxation (PBE-GGA).

Cell and atoms, written as extended XYZ:
```
15
Lattice="-4.721 -1.078 1.305 -0.445 -3.146 -4.333 4.539 -3.655 3.713" Properties=species:S:1:pos:R:3 pbc="T T T"
Mg -1.363 -2.720 -2.249
Nb 0.061 -5.468 0.307
Nb 2.792 -3.481 1.939
Nb -3.258 -4.588 -1.181
Si -0.709 -2.469 0.474
O 0.158 -3.587 -0.816
O -2.226 -3.097 -0.428
O 1.424 -3.329 3.312
O -1.836 -5.832 -0.393
O 1.853 -4.901 0.989
O -0.841 -3.947 1.514
O -0.708 -1.115 -0.863
O -0.002 -6.927 1.632
O -2.024 -4.540 -2.799
O 0.913 -1.948 1.089
```

Output
Excess energy over the best structure of this formula in the dataset (eV/atom): 0.0808
Calculated formation energy (meV per atom): -2896
Calculated volume (Å³/cell): 170.10
Space group: P1 (1)
Total energy (eV per atom): -8.23
Energy with MP2020 corrections (eV/f.u.): -130.25


[2]
Entry from Materials Project: CsYC4O9 after structural relaxation (PBE-GGA).

Cell and atoms, written as extended XYZ:
```
30
Lattice="-0.365 0.545 6.206 -5.857 -6.221 0.203 0.611 -12.269 1.114" Properties=species:S:1:pos:R:3 pbc="T T T"
Cs -0.030 -2.794 3.392
Cs 0.276 -8.930 3.928
Y -2.804 -6.136 0.854
Y -2.807 -11.808 6.668
C -5.494 -12.723 1.445
C -0.117 -5.221 6.078
C 0.478 -11.788 1.714
C -6.089 -6.156 5.809
C -2.590 -2.929 0.786
C -3.021 -15.015 6.737
C -3.041 -9.308 1.320
C -2.570 -8.637 6.203
O -0.697 -6.576 1.937
O -4.914 -11.368 5.585
O -5.017 -5.535 1.592
O -0.594 -12.409 5.930
O -3.409 -10.466 1.654
O -2.202 -7.479 5.869
O -1.641 -13.996 2.068
O -3.970 -3.948 5.454
O -2.949 -5.918 3.329
O -2.662 -12.026 4.193
O -4.364 -13.191 1.747
O -1.247 -4.753 5.776
O -0.675 -11.286 1.796
O -4.936 -6.658 5.727
O -3.286 -8.226 1.935
O -2.324 -9.719 5.588
O -2.429 -3.885 1.604
O -3.182 -14.059 5.919
```

Output
Calculated formation energy (meV per atom): -1893
Calculated volume (Å³/cell): 474.79
Space group: P2/c (13)
Total energy (eV per atom): -7.40
Energy with MP2020 corrections (eV/f.u.): -117.20


[3]
Entry from Materials Project: Ba3NaSi2O8 after structural relaxation (PBE-GGA).

Cell and atoms, written as extended XYZ:
```
28
Lattice="1.000 0.800 5.697 -5.480 0.024 -2.015 -0.888 -14.822 2.237" Properties=species:S:1:pos:R:3 pbc="T T T"
Ba -5.611 -3.670 -1.347
Ba 0.242 -10.328 7.265
Ba -1.990 -13.142 5.179
Ba -3.378 -0.856 0.740
Ba -3.686 -5.987 1.514
Ba -1.683 -8.011 4.404
Na -0.444 -7.411 1.118
Na 0.000 0.000 0.000
Si -1.470 -4.804 3.945
Si -3.898 -9.194 1.973
Si -4.095 -12.476 2.469
Si -1.274 -1.522 3.450
O -0.978 -5.603 2.597
O -0.503 -5.197 5.210
O -3.022 -5.227 4.277
O -4.390 -8.395 3.322
O -4.865 -8.801 0.709
O -2.346 -8.771 1.642
O -4.653 -12.780 3.983
O -5.123 -13.108 1.359
O -2.609 -13.156 2.303
O -0.715 -1.218 1.935
O -0.245 -0.890 4.560
O -2.759 -0.842 3.615
O -1.400 -3.166 3.664
O -3.969 -10.832 2.254
O -1.649 -10.554 5.014
O -3.719 -3.444 0.904
```

Output
Calculated formation energy (meV per atom): -3039
Calculated volume (Å³/cell): 444.26
Space group: Cmcm (63)
Total energy (eV per atom): -6.76
Energy with MP2020 corrections (eV/f.u.): -100.07